(1)
An optimized crystal structure of CaCu2Sn2O8. Source: the Materials Project, functional PBE.

Cell lengths 6.317, 9.006, 12.969 Å; angles 90.00, 94.00, 90.00 degrees
Fractional positions:
Ca: 0.123 0.169 0.485
Ca: 0.123 0.331 0.985
Ca: 0.877 0.669 0.015
Ca: 0.877 0.831 0.515
Cu: 0.264 0.693 0.833
Cu: 0.264 0.807 0.333
Cu: 0.390 0.060 0.878
Cu: 0.390 0.440 0.378
Cu: 0.610 0.560 0.622
Cu: 0.610 0.940 0.122
Cu: 0.736 0.193 0.667
Cu: 0.736 0.307 0.167
Sn: 0.087 0.047 0.173
Sn: 0.087 0.453 0.673
Sn: 0.437 0.576 0.153
Sn: 0.437 0.924 0.653
Sn: 0.563 0.076 0.347
Sn: 0.563 0.424 0.847
Sn: 0.913 0.547 0.327
Sn: 0.913 0.953 0.827
O: 0.016 0.241 0.646
O: 0.016 0.259 0.146
O: 0.106 0.109 0.887
O: 0.106 0.391 0.387
O: 0.196 0.562 0.051
O: 0.196 0.938 0.551
O: 0.215 0.017 0.322
O: 0.215 0.483 0.822
O: 0.301 0.608 0.295
O: 0.301 0.892 0.795
O: 0.335 0.005 0.091
O: 0.335 0.495 0.591
O: 0.451 0.250 0.424
O: 0.451 0.250 0.924
O: 0.459 0.148 0.674
O: 0.459 0.352 0.174
O: 0.541 0.648 0.826
O: 0.541 0.852 0.326
O: 0.549 0.750 0.076
O: 0.549 0.750 0.576
O: 0.665 0.505 0.409
O: 0.665 0.995 0.909
O: 0.699 0.108 0.205
O: 0.699 0.392 0.705
O: 0.785 0.517 0.178
O: 0.785 0.983 0.678
O: 0.804 0.062 0.449
O: 0.804 0.438 0.949
O: 0.894 0.609 0.613
O: 0.894 0.891 0.113
O: 0.984 0.741 0.854
O: 0.984 0.759 0.354

Values from the calculation:
For the formation energy, the calculation gives -1.655 eV per atom. The calculation puts the uncorrected energy at -5.679 eV per atom. The space group is P2_1/c (14).

(2)
An optimized crystal structure of CaCu3Sn4O12. Source: the Materials Project, functional PBE.

Cell lengths 6.726, 6.726, 6.726 Å; angles 109.47, 109.47, 109.47 degrees
Fractional positions:
Ca: 0.000 0.000 0.000
Cu: 0.000 0.500 0.500
Cu: 0.500 0.000 0.500
Cu: 0.500 0.500 0.000
Sn: 0.000 0.000 0.500
Sn: 0.000 0.500 0.000
Sn: 0.500 0.000 0.000
Sn: 0.500 0.500 0.500
O: 0.138 0.830 0.307
O: 0.170 0.307 0.477
O: 0.170 0.693 0.862
O: 0.307 0.138 0.830
O: 0.307 0.477 0.170
O: 0.477 0.170 0.307
O: 0.523 0.830 0.693
O: 0.693 0.523 0.830
O: 0.693 0.862 0.170
O: 0.830 0.307 0.138
O: 0.830 0.693 0.523
O: 0.862 0.170 0.693

Values from the calculation:
For the formation energy, the calculation gives -1.840 eV per atom. The calculation puts the uncorrected energy at -5.913 eV per atom. The space group is Im-3 (204).

(3)
An optimized crystal structure of SrCaCu2O4. Source: the Materials Project, functional PBE.

Cell lengths 3.940, 8.232, 8.232 Å; angles 24.62, 90.00, 90.00 degrees
Fractional positions:
Sr: 0.000 0.000 0.000
Ca: 0.500 0.339 0.339
Cu: 0.000 0.733 0.733
Cu: 0.500 0.608 0.608
O: 0.000 0.615 0.615
O: 0.000 0.849 0.849
O: 0.500 0.486 0.486
O: 0.500 0.729 0.729

Values from the calculation:
For the formation energy, the calculation gives -2.084 eV per atom. The calculation puts the uncorrected energy at -5.701 eV per atom. The space group is Amm2 (38).

(4)
An optimized crystal structure of Sr3CaCu4O8. Source: the Materials Project, functional PBE.

Cell lengths 3.424, 3.948, 15.685 Å; angles 90.00, 90.00, 90.00 degrees
Fractional positions:
Sr: 0.000 0.000 0.000
Sr: 0.000 0.000 0.252
Sr: 0.000 0.000 0.748
Ca: 0.000 0.000 0.500
Cu: 0.500 0.500 0.126
Cu: 0.500 0.500 0.377
Cu: 0.500 0.500 0.623
Cu: 0.500 0.500 0.874
O: 0.500 0.000 0.126
O: 0.500 0.000 0.382
O: 0.500 0.000 0.618
O: 0.500 0.000 0.874
O: 0.500 0.500 0.000
O: 0.500 0.500 0.252
O: 0.500 0.500 0.500
O: 0.500 0.500 0.748

Values from the calculation:
For the formation energy, the calculation gives -2.084 eV per atom. The calculation puts the uncorrected energy at -5.682 eV per atom. The space group is Pmmm (47).